--- one ---
Here is Rb3TmO3 after structural relaxation from the Materials Project. Energies are from meta-GGA r2SCAN.

Values from the calculation:
The total moment is 0.00 μB/f.u.

The structure in POSCAR format:
```
Rb3TmO3
1.0
7.7579 0.0000 0.0000
0.0000 7.2658 0.0000
-0.7758 0.0000 11.5596
Rb Tm O
12 4 12
direct
0.0711 0.1236 0.1569
0.0711 0.3764 0.6569
0.3600 0.1649 0.9212
0.3600 0.3351 0.4212
0.3741 0.6974 0.8101
0.3741 0.8026 0.3101
0.6259 0.1974 0.6899
0.6259 0.3026 0.1899
0.6400 0.6649 0.5788
0.6400 0.8351 0.0788
0.9289 0.6236 0.3431
0.9289 0.8764 0.8431
0.1602 0.5886 0.0683
0.1602 0.9114 0.5683
0.8398 0.0886 0.4317
0.8398 0.4114 0.9317
0.1105 0.0502 0.4064
0.1105 0.4498 0.9064
0.2552 0.6475 0.5463
0.2552 0.8525 0.0463
0.3054 0.0571 0.6922
0.3054 0.4429 0.1922
0.6946 0.5571 0.8078
0.6946 0.9429 0.3078
0.7448 0.1475 0.9537
0.7448 0.3525 0.4537
0.8895 0.5502 0.0936
0.8895 0.9498 0.5936
```

--- two ---
Here is Rb3TmO3 after structural relaxation from the Materials Project. Energies are from meta-GGA r2SCAN.

Values from the calculation:
The total moment is 0.00 μB/f.u.

The structure in POSCAR format:
```
Rb3TmO3
1.0
3.8042 -6.0860 0.0000
3.8042 6.0860 0.0000
-1.1825 0.0000 7.0710
Rb Tm O
6 2 6
direct
0.2050 0.7950 0.0000
0.2598 0.7402 0.5000
0.3619 0.3619 0.1409
0.6381 0.6381 0.8591
0.7402 0.2598 0.5000
0.7950 0.2050 0.0000
0.1762 0.1762 0.6489
0.8238 0.8238 0.3511
0.1028 0.1028 0.3465
0.1660 0.4440 0.7683
0.4440 0.1660 0.7683
0.5560 0.8340 0.2317
0.8340 0.5560 0.2317
0.8972 0.8972 0.6535
```

Least stable = two

--- one ---
Here is VReO4 after structural relaxation from the Materials Project. Energies are from meta-GGA r2SCAN.

Values from the calculation:
The total moment is 1.39 μB/f.u.

The structure in POSCAR format:
```
VReO4
1.0
4.6961 -2.8109 0.0000
4.6961 2.8109 0.0000
-0.1216 0.0000 4.7276
V Re O
2 2 8
direct
0.2370 0.2370 0.0073
0.7630 0.7630 0.9927
0.2801 0.7199 0.5000
0.7199 0.2801 0.5000
0.0948 0.0948 0.3093
0.1133 0.5950 0.2012
0.3816 0.3816 0.7192
0.4050 0.8867 0.7988
0.5950 0.1133 0.2012
0.6184 0.6184 0.2808
0.8867 0.4050 0.7988
0.9052 0.9052 0.6907
```

--- two ---
Here is VReO4 after structural relaxation from the Materials Project. Energies are from meta-GGA r2SCAN.

Values from the calculation:
The total moment is 0.05 μB/f.u.

The structure in POSCAR format:
```
VReO4
1.0
5.5970 0.0000 0.0000
0.0000 6.8040 0.0000
-2.7908 0.0000 6.5998
V Re O
4 4 16
direct
0.1210 0.2500 0.2434
0.3715 0.7500 0.7426
0.6285 0.2500 0.2574
0.8790 0.7500 0.7566
0.1506 0.2500 0.7504
0.4012 0.7500 0.2500
0.5988 0.2500 0.7500
0.8494 0.7500 0.2496
0.0134 0.7500 0.5420
0.1246 0.5555 0.2490
0.1246 0.9445 0.2490
0.2329 0.7500 0.9579
0.2773 0.2500 0.0424
0.3737 0.0263 0.7480
0.3737 0.4737 0.7480
0.4702 0.2500 0.4577
0.5298 0.7500 0.5423
0.6263 0.5263 0.2520
0.6263 0.9737 0.2520
0.7227 0.7500 0.9576
0.7671 0.2500 0.0421
0.8754 0.0555 0.7510
0.8754 0.4445 0.7510
0.9866 0.2500 0.4580
```

Least stable = two

--- one ---
Here is Sb2S3O12 after structural relaxation from the Materials Project. Energies are from meta-GGA r2SCAN.

Values from the calculation:
The total moment is 0.00 μB/f.u.

The structure in POSCAR format:
```
Sb2S3O12
1.0
8.6204 0.0000 0.0000
0.0000 8.7712 0.0000
-8.5309 0.0000 12.8697
Sb S O
8 12 48
direct
0.1126 0.0144 0.3833
0.1126 0.4856 0.8833
0.3595 0.0332 0.1119
0.3595 0.4668 0.6119
0.6405 0.5332 0.3881
0.6405 0.9668 0.8881
0.8874 0.5144 0.1167
0.8874 0.9856 0.6167
0.0871 0.6532 0.6838
0.0871 0.8468 0.1838
0.2718 0.1385 0.6863
0.2718 0.3615 0.1863
0.4733 0.7474 0.5014
0.4733 0.7526 0.0014
0.5267 0.2474 0.9986
0.5267 0.2526 0.4986
0.7282 0.6385 0.8137
0.7282 0.8615 0.3137
0.9129 0.1532 0.8162
0.9129 0.3468 0.3162
0.0686 0.6979 0.2238
0.0686 0.8021 0.7238
0.0884 0.1034 0.9055
0.0884 0.3966 0.4055
0.1335 0.1284 0.7154
0.1335 0.3716 0.2154
0.1577 0.5376 0.7714
0.1577 0.9624 0.2714
0.1822 0.1137 0.5765
0.1822 0.3863 0.0765
0.2356 0.6646 0.6651
0.2356 0.8354 0.1651
0.2818 0.7025 0.9594
0.2818 0.7975 0.4594
0.3670 0.2134 0.2210
0.3670 0.2866 0.7210
0.3930 0.1325 0.4378
0.3930 0.3675 0.9378
0.4116 0.0123 0.7434
0.4116 0.4877 0.2434
0.4864 0.1135 0.9309
0.4864 0.3865 0.4309
0.4865 0.7029 0.4123
0.4865 0.7971 0.9123
0.5135 0.2029 0.0877
0.5135 0.2971 0.5877
0.5136 0.6135 0.5691
0.5136 0.8865 0.0691
0.5884 0.5123 0.7566
0.5884 0.9877 0.2566
0.6070 0.6325 0.0622
0.6070 0.8675 0.5622
0.6330 0.7134 0.2790
0.6330 0.7866 0.7790
0.7182 0.2025 0.5406
0.7182 0.2975 0.0406
0.7644 0.1646 0.8349
0.7644 0.3354 0.3349
0.8178 0.6137 0.9235
0.8178 0.8863 0.4235
0.8423 0.0376 0.7286
0.8423 0.4624 0.2286
0.8665 0.6284 0.7846
0.8665 0.8716 0.2846
0.9116 0.6034 0.5945
0.9116 0.8966 0.0945
0.9314 0.1979 0.2762
0.9314 0.3021 0.7762
```

--- two ---
Here is Sb2S3O12 after structural relaxation from the Materials Project. Energies are from meta-GGA r2SCAN.

Values from the calculation:
The total moment is 0.00 μB/f.u.

The structure in POSCAR format:
```
Sb2S3O12
1.0
13.0881 0.0000 0.0000
0.0000 4.7843 0.0000
-10.4971 0.0000 14.2265
Sb S O
8 12 48
direct
0.1180 0.1964 0.4404
0.1180 0.3036 0.9404
0.3500 0.0699 0.7800
0.3500 0.4301 0.2800
0.6500 0.5699 0.7200
0.6500 0.9301 0.2200
0.8820 0.6964 0.0596
0.8820 0.8036 0.5596
0.1634 0.6364 0.6087
0.1634 0.8636 0.1087
0.1752 0.6762 0.3277
0.1752 0.8238 0.8277
0.4420 0.0627 0.6111
0.4420 0.4373 0.1111
0.5580 0.5627 0.8889
0.5580 0.9373 0.3889
0.8248 0.1762 0.1723
0.8248 0.3238 0.6723
0.8366 0.1364 0.8913
0.8366 0.3636 0.3913
0.0522 0.5128 0.5975
0.0522 0.9872 0.0975
0.0920 0.5554 0.2349
0.0920 0.9446 0.7349
0.1365 0.5823 0.0705
0.1365 0.9177 0.5705
0.1484 0.5638 0.3943
0.1484 0.9362 0.8943
0.1702 0.5229 0.8312
0.1702 0.9771 0.3312
0.2061 0.0503 0.0646
0.2061 0.4497 0.5646
0.2722 0.6460 0.7107
0.2722 0.8540 0.2107
0.3099 0.5796 0.3699
0.3099 0.9204 0.8699
0.3185 0.0672 0.5184
0.3185 0.4328 0.0184
0.4360 0.5426 0.1853
0.4360 0.9574 0.6853
0.4683 0.1066 0.3942
0.4683 0.3934 0.8942
0.4844 0.1354 0.1294
0.4844 0.3646 0.6294
0.5156 0.6354 0.3706
0.5156 0.8646 0.8706
0.5317 0.6066 0.1058
0.5317 0.8934 0.6058
0.5640 0.0426 0.3147
0.5640 0.4574 0.8147
0.6815 0.5672 0.9816
0.6815 0.9328 0.4816
0.6901 0.0796 0.1301
0.6901 0.4204 0.6301
0.7278 0.1460 0.7893
0.7278 0.3540 0.2893
0.7939 0.5503 0.4354
0.7939 0.9497 0.9354
0.8298 0.0229 0.6688
0.8298 0.4771 0.1688
0.8516 0.0638 0.1057
0.8516 0.4362 0.6057
0.8635 0.0823 0.4295
0.8635 0.4177 0.9295
0.9080 0.0554 0.2651
0.9080 0.4446 0.7651
0.9478 0.0128 0.9025
0.9478 0.4872 0.4025
```

Least stable = one

--- one ---
Here is TiSO5 after structural relaxation from the Materials Project. Energies are from meta-GGA r2SCAN.

Values from the calculation:
The total moment is 0.00 μB/f.u.

The structure in POSCAR format:
```
TiSO5
1.0
11.1011 0.0000 0.0000
0.0000 5.2535 0.0000
0.0000 0.0000 6.5792
Ti S O
4 4 20
direct
0.0571 0.2500 0.1574
0.4429 0.7500 0.6574
0.5571 0.2500 0.3426
0.9429 0.7500 0.8426
0.1550 0.7500 0.4759
0.3450 0.2500 0.9759
0.6550 0.7500 0.0241
0.8450 0.2500 0.5241
0.0000 0.0000 0.0000
0.0000 0.5000 0.0000
0.0910 0.7500 0.6717
0.1262 0.5198 0.3632
0.1262 0.9802 0.3632
0.2153 0.2500 0.0206
0.2847 0.7500 0.5206
0.3738 0.0198 0.8632
0.3738 0.4802 0.8632
0.4090 0.2500 0.1717
0.5000 0.0000 0.5000
0.5000 0.5000 0.5000
0.5910 0.7500 0.8283
0.6262 0.5198 0.1368
0.6262 0.9802 0.1368
0.7153 0.2500 0.4794
0.7847 0.7500 0.9794
0.8738 0.0198 0.6368
0.8738 0.4802 0.6368
0.9090 0.2500 0.3283
```

--- two ---
Here is TiSO5 after structural relaxation from the Materials Project. Energies are from meta-GGA r2SCAN.

Values from the calculation:
The total moment is 0.00 μB/f.u.

The structure in POSCAR format:
```
TiSO5
1.0
2.5654 -6.8791 0.0000
2.5654 6.8791 0.0000
-0.0508 0.0000 9.4625
Ti S O
4 4 20
direct
0.0000 0.5000 0.0000
0.0875 0.9125 0.7500
0.5000 0.0000 0.5000
0.9125 0.0875 0.2500
0.1435 0.3594 0.5681
0.3594 0.1435 0.0681
0.6406 0.8565 0.9319
0.8565 0.6406 0.4319
0.0322 0.3733 0.1570
0.1315 0.7614 0.4084
0.1573 0.2955 0.4232
0.1921 0.2553 0.6713
0.2386 0.8685 0.0916
0.2553 0.1921 0.1713
0.2955 0.1573 0.9232
0.3379 0.6411 0.9142
0.3589 0.6621 0.5858
0.3733 0.0322 0.6570
0.6267 0.9678 0.3430
0.6411 0.3379 0.4142
0.6621 0.3589 0.0858
0.7045 0.8427 0.0768
0.7447 0.8079 0.8287
0.7614 0.1315 0.9084
0.8079 0.7447 0.3287
0.8427 0.7045 0.5768
0.8685 0.2386 0.5916
0.9678 0.6267 0.8430
```

Least stable = one

--- one ---
Here is ThSe2O6 after structural relaxation from the Materials Project. Energies are from meta-GGA r2SCAN.

Values from the calculation:
The total moment is 0.00 μB/f.u.

The structure in POSCAR format:
```
ThSe2O6
1.0
7.2023 0.0000 0.0000
0.0000 10.8794 0.0000
-5.0115 0.0000 7.0792
Th Se O
4 8 24
direct
0.2459 0.0983 0.4850
0.2459 0.4017 0.9850
0.7541 0.5983 0.0150
0.7541 0.9017 0.5150
0.1960 0.7148 0.9352
0.1960 0.7852 0.4352
0.2845 0.0673 0.0610
0.2845 0.4327 0.5610
0.7155 0.5673 0.4390
0.7155 0.9327 0.9390
0.8040 0.2148 0.5648
0.8040 0.2852 0.0648
0.0120 0.6018 0.9160
0.0120 0.8982 0.4160
0.0611 0.7411 0.2087
0.0611 0.7589 0.7087
0.1638 0.0904 0.1810
0.1638 0.4096 0.6810
0.3834 0.6054 0.9562
0.3834 0.8946 0.4562
0.4091 0.2081 0.0974
0.4091 0.2919 0.5974
0.4810 0.0215 0.7911
0.4810 0.4785 0.2911
0.5190 0.5215 0.7089
0.5190 0.9785 0.2089
0.5909 0.7081 0.4026
0.5909 0.7919 0.9026
0.6166 0.1054 0.5438
0.6166 0.3946 0.0438
0.8362 0.5904 0.3190
0.8362 0.9096 0.8190
0.9389 0.2411 0.2913
0.9389 0.2589 0.7913
0.9880 0.1018 0.5840
0.9880 0.3982 0.0840
```

--- two ---
Here is ThSe2O6 after structural relaxation from the Materials Project. Energies are from meta-GGA r2SCAN.

Values from the calculation:
The total moment is 0.00 μB/f.u.

The structure in POSCAR format:
```
ThSe2O6
1.0
7.2394 0.0000 0.0000
0.0000 11.1629 0.0000
0.0000 0.0000 6.6851
Th Se O
4 8 24
direct
0.1489 0.1467 0.0000
0.3511 0.6467 0.5000
0.6489 0.3533 0.0000
0.8511 0.8533 0.5000
0.0486 0.8162 0.0111
0.1461 0.4590 0.0528
0.3539 0.9590 0.5528
0.4514 0.3162 0.5111
0.5486 0.6838 0.0111
0.6461 0.0410 0.0528
0.8539 0.5410 0.5528
0.9514 0.1838 0.5111
0.0291 0.6409 0.6020
0.0688 0.9559 0.1168
0.0720 0.2500 0.7022
0.1256 0.1583 0.3449
0.1882 0.8467 0.5278
0.1924 0.5115 0.2838
0.3076 0.0115 0.7838
0.3118 0.3467 0.0278
0.3744 0.6583 0.8449
0.4280 0.7500 0.2022
0.4312 0.4559 0.6168
0.4709 0.1409 0.1020
0.5291 0.8591 0.6020
0.5688 0.5441 0.1168
0.5720 0.2500 0.7022
0.6256 0.3417 0.3449
0.6882 0.6533 0.5278
0.6924 0.9885 0.2838
0.8076 0.4885 0.7838
0.8118 0.1533 0.0278
0.8744 0.8417 0.8449
0.9280 0.7500 0.2022
0.9312 0.0441 0.6168
0.9709 0.3591 0.1020
```

Least stable = two